First-principles (PBE) data for ErP after structural relaxation, as listed in the Materials Project.

Energy   -6.599 eV/atom
Energy of formation from the pure elements   -1609 meV per atom

The structure in CIF format:
```
data_ErP
_chemical_formula_sum 'Er4 P4'
_cell_length_a 5.613
_cell_length_b 5.613
_cell_length_c 5.613
_cell_angle_alpha 90.00
_cell_angle_beta 90.00
_cell_angle_gamma 90.00
_space_group_name_H-M_alt 'F m -3 m'
_space_group_IT_number 225
_space_group_name_Hall '-F 4 2 3'
loop_
_atom_site_label
_atom_site_type_symbol
_atom_site_fract_x
_atom_site_fract_y
_atom_site_fract_z
Er1 Er 0.000 0.000 0.000
P1 P 0.000 0.000 0.500
```